# 1
# Sr5Ca3TiMn7O20, optimized geometry, DFT PBE with a Hubbard U
# Total energy after the MP2020 corrections in eV per atom: -7.83
# Formation energy from the elements in eV/atom: -2.68
data_Sr5Ca3TiMn7O20
_chemical_formula_sum 'Sr20 Ca12 Ti4 Mn28 O80'
_cell_length_a 11.058
_cell_length_b 11.204
_cell_length_c 17.696
_cell_angle_alpha 108.39
_cell_angle_beta 108.33
_cell_angle_gamma 90.01
_symmetry_space_group_name_H-M 'P 1'
_symmetry_Int_Tables_number 1
_symmetry_space_group_name_Hall 'P 1'
loop_
_atom_site_label
_atom_site_type_symbol
_atom_site_fract_x
_atom_site_fract_y
_atom_site_fract_z
_atom_site_occupancy
Sr1 Sr 0.308 0.058 0.608 1
Sr2 Sr 0.309 0.559 0.608 1
Sr3 Sr 0.807 0.059 0.608 1
Sr4 Sr 0.808 0.559 0.610 1
Sr5 Sr 0.197 0.439 0.388 1
Sr6 Sr 0.199 0.440 0.891 1
Sr7 Sr 0.698 0.439 0.389 1
Sr8 Sr 0.699 0.941 0.388 1
Sr9 Sr 0.700 0.941 0.891 1
Sr10 Sr 0.059 0.299 0.609 1
Sr11 Sr 0.060 0.801 0.610 1
Sr12 Sr 0.559 0.302 0.610 1
Sr13 Sr 0.559 0.800 0.609 1
Sr14 Sr 0.448 0.199 0.389 1
Sr15 Sr 0.449 0.205 0.891 1
Sr16 Sr 0.447 0.700 0.388 1
Sr17 Sr 0.443 0.696 0.890 1
Sr18 Sr 0.948 0.196 0.387 1
Sr19 Sr 0.948 0.203 0.890 1
Sr20 Sr 0.950 0.700 0.388 1
Ca1 Ca 0.306 0.066 0.108 1
Ca2 Ca 0.310 0.566 0.107 1
Ca3 Ca 0.804 0.068 0.109 1
Ca4 Ca 0.801 0.561 0.109 1
Ca5 Ca 0.198 0.937 0.394 1
Ca6 Ca 0.196 0.937 0.892 1
Ca7 Ca 0.697 0.435 0.894 1
Ca8 Ca 0.055 0.292 0.109 1
Ca9 Ca 0.060 0.796 0.110 1
Ca10 Ca 0.554 0.295 0.108 1
Ca11 Ca 0.549 0.793 0.110 1
Ca12 Ca 0.953 0.706 0.895 1
Ti1 Ti 0.009 0.001 0.004 1
Ti2 Ti 0.008 0.506 0.006 1
Ti3 Ti 0.503 0.000 0.000 1
Ti4 Ti 0.756 0.749 0.004 1
Mn1 Mn 0.004 0.997 0.497 1
Mn2 Mn 0.003 0.499 0.499 1
Mn3 Mn 0.503 0.000 0.498 1
Mn4 Mn 0.507 0.500 0.004 1
Mn5 Mn 0.505 0.501 0.500 1
Mn6 Mn 0.256 0.252 0.004 1
Mn7 Mn 0.253 0.248 0.496 1
Mn8 Mn 0.256 0.753 0.004 1
Mn9 Mn 0.254 0.750 0.499 1
Mn10 Mn 0.758 0.253 0.004 1
Mn11 Mn 0.754 0.250 0.499 1
Mn12 Mn 0.755 0.749 0.500 1
Mn13 Mn 0.107 0.091 0.246 1
Mn14 Mn 0.111 0.094 0.751 1
Mn15 Mn 0.110 0.597 0.246 1
Mn16 Mn 0.109 0.600 0.751 1
Mn17 Mn 0.605 0.091 0.243 1
Mn18 Mn 0.611 0.100 0.749 1
Mn19 Mn 0.608 0.592 0.246 1
Mn20 Mn 0.620 0.598 0.755 1
Mn21 Mn 0.356 0.402 0.246 1
Mn22 Mn 0.364 0.404 0.750 1
Mn23 Mn 0.354 0.905 0.249 1
Mn24 Mn 0.363 0.904 0.753 1
Mn25 Mn 0.859 0.402 0.247 1
Mn26 Mn 0.861 0.410 0.758 1
Mn27 Mn 0.861 0.901 0.244 1
Mn28 Mn 0.868 0.902 0.753 1
O1 O 0.126 0.119 0.492 1
O2 O 0.127 0.119 0.991 1
O3 O 0.124 0.622 0.493 1
O4 O 0.121 0.626 0.990 1
O5 O 0.625 0.124 0.495 1
O6 O 0.627 0.122 0.996 1
O7 O 0.625 0.622 0.493 1
O8 O 0.633 0.623 0.992 1
O9 O 0.134 0.384 0.015 1
O10 O 0.130 0.375 0.504 1
O11 O 0.137 0.883 0.014 1
O12 O 0.131 0.877 0.504 1
O13 O 0.640 0.377 0.014 1
O14 O 0.630 0.376 0.502 1
O15 O 0.640 0.880 0.017 1
O16 O 0.629 0.877 0.503 1
O17 O 0.372 0.117 0.490 1
O18 O 0.375 0.115 0.993 1
O19 O 0.375 0.621 0.492 1
O20 O 0.373 0.627 0.998 1
O21 O 0.877 0.121 0.495 1
O22 O 0.879 0.121 0.995 1
O23 O 0.875 0.621 0.493 1
O24 O 0.876 0.618 0.987 1
O25 O 0.383 0.379 0.015 1
O26 O 0.381 0.377 0.504 1
O27 O 0.388 0.885 0.016 1
O28 O 0.380 0.879 0.503 1
O29 O 0.886 0.388 0.014 1
O30 O 0.880 0.378 0.503 1
O31 O 0.892 0.885 0.016 1
O32 O 0.881 0.877 0.503 1
O33 O 0.084 0.091 0.128 1
O34 O 0.077 0.079 0.635 1
O35 O 0.077 0.596 0.126 1
O36 O 0.071 0.582 0.636 1
O37 O 0.577 0.092 0.130 1
O38 O 0.572 0.082 0.634 1
O39 O 0.585 0.598 0.137 1
O40 O 0.577 0.581 0.634 1
O41 O 0.436 0.421 0.362 1
O42 O 0.445 0.417 0.865 1
O43 O 0.439 0.922 0.364 1
O44 O 0.452 0.916 0.878 1
O45 O 0.935 0.420 0.363 1
O46 O 0.948 0.417 0.873 1
O47 O 0.944 0.919 0.366 1
O48 O 0.951 0.911 0.875 1
O49 O 0.335 0.286 0.139 1
O50 O 0.325 0.302 0.635 1
O51 O 0.328 0.790 0.141 1
O52 O 0.321 0.801 0.631 1
O53 O 0.841 0.288 0.140 1
O54 O 0.826 0.312 0.643 1
O55 O 0.837 0.779 0.126 1
O56 O 0.824 0.803 0.634 1
O57 O 0.185 0.196 0.363 1
O58 O 0.189 0.204 0.862 1
O59 O 0.190 0.706 0.367 1
O60 O 0.192 0.713 0.863 1
O61 O 0.683 0.188 0.357 1
O62 O 0.691 0.208 0.863 1
O63 O 0.686 0.692 0.361 1
O64 O 0.706 0.714 0.876 1
O65 O 0.423 0.063 0.240 1
O66 O 0.438 0.071 0.752 1
O67 O 0.429 0.563 0.240 1
O68 O 0.438 0.564 0.752 1
O69 O 0.924 0.069 0.239 1
O70 O 0.937 0.071 0.751 1
O71 O 0.924 0.560 0.240 1
O72 O 0.936 0.577 0.760 1
O73 O 0.180 0.422 0.240 1
O74 O 0.187 0.440 0.752 1
O75 O 0.176 0.919 0.249 1
O76 O 0.184 0.935 0.760 1
O77 O 0.675 0.423 0.240 1
O78 O 0.688 0.427 0.761 1
O79 O 0.674 0.927 0.239 1
O80 O 0.690 0.942 0.752 1

# 2
# SrCa7TiMn7O24, optimized geometry, DFT PBE with a Hubbard U
# Total energy after the MP2020 corrections in eV per atom: -7.78
# ΔE to the lowest computed polymorph in meV per atom: 0
# Formation energy from the elements in eV/atom: -2.61
data_SrCa7TiMn7O24
_chemical_formula_sum 'Sr4 Ca28 Ti4 Mn28 O96'
_cell_length_a 10.869
_cell_length_b 15.237
_cell_length_c 10.737
_cell_angle_alpha 90.01
_cell_angle_beta 90.02
_cell_angle_gamma 89.99
_symmetry_space_group_name_H-M 'P 1'
_symmetry_Int_Tables_number 1
_symmetry_space_group_name_Hall 'P 1'
loop_
_atom_site_label
_atom_site_type_symbol
_atom_site_fract_x
_atom_site_fract_y
_atom_site_fract_z
_atom_site_occupancy
Sr1 Sr 0.015 0.125 0.498 1
Sr2 Sr 0.485 0.377 0.002 1
Sr3 Sr 0.234 0.377 0.247 1
Sr4 Sr 0.268 0.124 0.255 1
Ca1 Ca 0.018 0.125 0.994 1
Ca2 Ca 0.023 0.625 0.496 1
Ca3 Ca 0.023 0.625 0.996 1
Ca4 Ca 0.523 0.125 0.496 1
Ca5 Ca 0.524 0.125 0.995 1
Ca6 Ca 0.523 0.625 0.495 1
Ca7 Ca 0.523 0.625 0.996 1
Ca8 Ca 0.478 0.375 0.506 1
Ca9 Ca 0.479 0.873 0.004 1
Ca10 Ca 0.478 0.875 0.506 1
Ca11 Ca 0.977 0.376 0.004 1
Ca12 Ca 0.977 0.376 0.505 1
Ca13 Ca 0.977 0.874 0.004 1
Ca14 Ca 0.977 0.874 0.504 1
Ca15 Ca 0.227 0.376 0.744 1
Ca16 Ca 0.229 0.873 0.246 1
Ca17 Ca 0.227 0.874 0.745 1
Ca18 Ca 0.729 0.375 0.247 1
Ca19 Ca 0.728 0.375 0.745 1
Ca20 Ca 0.728 0.875 0.246 1
Ca21 Ca 0.727 0.875 0.745 1
Ca22 Ca 0.274 0.125 0.754 1
Ca23 Ca 0.273 0.625 0.254 1
Ca24 Ca 0.273 0.625 0.754 1
Ca25 Ca 0.766 0.125 0.253 1
Ca26 Ca 0.772 0.125 0.756 1
Ca27 Ca 0.773 0.625 0.254 1
Ca28 Ca 0.773 0.625 0.755 1
Ti1 Ti 0.997 0.997 0.250 1
Ti2 Ti 0.250 0.998 0.998 1
Ti3 Ti 0.249 0.250 0.997 1
Ti4 Ti 0.996 0.252 0.250 1
Mn1 Mn 0.000 0.999 0.751 1
Mn2 Mn 0.999 0.502 0.251 1
Mn3 Mn 0.000 0.500 0.750 1
Mn4 Mn 0.501 0.998 0.252 1
Mn5 Mn 0.502 0.000 0.750 1
Mn6 Mn 0.502 0.502 0.251 1
Mn7 Mn 0.500 0.501 0.748 1
Mn8 Mn 0.252 0.999 0.502 1
Mn9 Mn 0.249 0.502 0.997 1
Mn10 Mn 0.250 0.501 0.502 1
Mn11 Mn 0.748 0.999 0.999 1
Mn12 Mn 0.748 0.999 0.501 1
Mn13 Mn 0.752 0.501 0.001 1
Mn14 Mn 0.750 0.501 0.500 1
Mn15 Mn 0.252 0.250 0.503 1
Mn16 Mn 0.250 0.749 0.998 1
Mn17 Mn 0.251 0.750 0.500 1
Mn18 Mn 0.750 0.250 0.000 1
Mn19 Mn 0.748 0.250 0.502 1
Mn20 Mn 0.750 0.750 0.000 1
Mn21 Mn 0.750 0.750 0.500 1
Mn22 Mn 0.000 0.250 0.750 1
Mn23 Mn 0.000 0.749 0.251 1
Mn24 Mn 0.000 0.750 0.750 1
Mn25 Mn 0.502 0.249 0.252 1
Mn26 Mn 0.501 0.249 0.748 1
Mn27 Mn 0.500 0.750 0.250 1
Mn28 Mn 0.501 0.750 0.750 1
O1 O 0.105 0.267 0.105 1
O2 O 0.105 0.271 0.606 1
O3 O 0.105 0.771 0.103 1
O4 O 0.104 0.770 0.603 1
O5 O 0.609 0.266 0.107 1
O6 O 0.604 0.270 0.602 1
O7 O 0.604 0.770 0.103 1
O8 O 0.604 0.770 0.603 1
O9 O 0.398 0.232 0.399 1
O10 O 0.395 0.230 0.889 1
O11 O 0.396 0.729 0.397 1
O12 O 0.397 0.729 0.897 1
O13 O 0.886 0.235 0.392 1
O14 O 0.896 0.231 0.898 1
O15 O 0.896 0.729 0.397 1
O16 O 0.896 0.730 0.897 1
O17 O 0.141 0.237 0.362 1
O18 O 0.143 0.232 0.852 1
O19 O 0.147 0.729 0.353 1
O20 O 0.146 0.729 0.853 1
O21 O 0.646 0.230 0.355 1
O22 O 0.646 0.230 0.853 1
O23 O 0.646 0.729 0.353 1
O24 O 0.646 0.729 0.853 1
O25 O 0.362 0.263 0.141 1
O26 O 0.354 0.269 0.649 1
O27 O 0.355 0.770 0.146 1
O28 O 0.354 0.770 0.647 1
O29 O 0.854 0.269 0.142 1
O30 O 0.855 0.270 0.646 1
O31 O 0.854 0.771 0.147 1
O32 O 0.854 0.771 0.647 1
O33 O 0.358 0.487 0.143 1
O34 O 0.354 0.481 0.648 1
O35 O 0.358 0.980 0.146 1
O36 O 0.354 0.979 0.648 1
O37 O 0.854 0.480 0.146 1
O38 O 0.854 0.480 0.647 1
O39 O 0.853 0.980 0.142 1
O40 O 0.854 0.980 0.646 1
O41 O 0.142 0.012 0.360 1
O42 O 0.143 0.018 0.852 1
O43 O 0.145 0.522 0.355 1
O44 O 0.146 0.522 0.852 1
O45 O 0.646 0.020 0.354 1
O46 O 0.647 0.021 0.852 1
O47 O 0.646 0.521 0.354 1
O48 O 0.645 0.520 0.854 1
O49 O 0.399 0.018 0.399 1
O50 O 0.397 0.018 0.892 1
O51 O 0.395 0.520 0.397 1
O52 O 0.395 0.523 0.894 1
O53 O 0.886 0.014 0.392 1
O54 O 0.896 0.019 0.898 1
O55 O 0.895 0.522 0.398 1
O56 O 0.896 0.520 0.897 1
O57 O 0.102 0.482 0.102 1
O58 O 0.103 0.480 0.604 1
O59 O 0.107 0.981 0.106 1
O60 O 0.105 0.978 0.605 1
O61 O 0.610 0.485 0.109 1
O62 O 0.604 0.481 0.602 1
O63 O 0.603 0.979 0.102 1
O64 O 0.604 0.979 0.603 1
O65 O 0.001 0.379 0.285 1
O66 O 0.010 0.375 0.789 1
O67 O 0.007 0.871 0.285 1
O68 O 0.010 0.875 0.790 1
O69 O 0.510 0.376 0.288 1
O70 O 0.511 0.375 0.779 1
O71 O 0.511 0.874 0.290 1
O72 O 0.511 0.875 0.790 1
O73 O 0.498 0.124 0.212 1
O74 O 0.491 0.125 0.709 1
O75 O 0.490 0.626 0.212 1
O76 O 0.490 0.625 0.710 1
O77 O 0.993 0.125 0.218 1
O78 O 0.988 0.125 0.720 1
O79 O 0.989 0.625 0.210 1
O80 O 0.989 0.625 0.710 1
O81 O 0.240 0.124 0.025 1
O82 O 0.247 0.125 0.538 1
O83 O 0.239 0.626 0.039 1
O84 O 0.240 0.625 0.540 1
O85 O 0.741 0.124 0.038 1
O86 O 0.741 0.125 0.540 1
O87 O 0.741 0.626 0.039 1
O88 O 0.740 0.625 0.540 1
O89 O 0.261 0.376 0.471 1
O90 O 0.253 0.378 0.965 1
O91 O 0.261 0.874 0.461 1
O92 O 0.259 0.872 0.963 1
O93 O 0.759 0.376 0.462 1
O94 O 0.758 0.375 0.961 1
O95 O 0.760 0.874 0.461 1
O96 O 0.760 0.875 0.960 1

# 3
# Sr3CaTiMn3O12, optimized geometry, DFT PBE with a Hubbard U
# Total energy after the MP2020 corrections in eV per atom: -7.81
# Formation energy from the elements in eV/atom: -2.72
data_Sr3CaTiMn3O12
_chemical_formula_sum 'Sr6 Ca2 Ti2 Mn6 O24'
_cell_length_a 7.743
_cell_length_b 7.745
_cell_length_c 7.793
_cell_angle_alpha 90.00
_cell_angle_beta 90.00
_cell_angle_gamma 90.00
_symmetry_space_group_name_H-M 'P 1'
_symmetry_Int_Tables_number 1
_symmetry_space_group_name_Hall 'P 1'
loop_
_atom_site_label
_atom_site_type_symbol
_atom_site_fract_x
_atom_site_fract_y
_atom_site_fract_z
_atom_site_occupancy
Sr1 Sr 0.247 0.247 0.750 1
Sr2 Sr 0.247 0.753 0.750 1
Sr3 Sr 0.753 0.753 0.750 1
Sr4 Sr 0.247 0.247 0.250 1
Sr5 Sr 0.247 0.753 0.250 1
Sr6 Sr 0.753 0.247 0.250 1
Ca1 Ca 0.754 0.246 0.750 1
Ca2 Ca 0.754 0.754 0.250 1
Ti1 Ti 0.502 0.500 0.000 1
Ti2 Ti 0.502 0.500 0.500 1
Mn1 Mn 0.999 0.000 0.000 1
Mn2 Mn 0.999 0.500 0.000 1
Mn3 Mn 0.501 0.000 0.000 1
Mn4 Mn 0.999 0.000 0.500 1
Mn5 Mn 0.999 0.500 0.500 1
Mn6 Mn 0.501 0.000 0.500 1
O1 O 0.997 0.002 0.750 1
O2 O 0.997 0.497 0.750 1
O3 O 0.503 0.003 0.750 1
O4 O 0.502 0.499 0.750 1
O5 O 0.997 0.998 0.250 1
O6 O 0.997 0.503 0.250 1
O7 O 0.503 0.997 0.250 1
O8 O 0.502 0.501 0.250 1
O9 O 0.250 0.000 0.000 1
O10 O 0.247 0.500 0.000 1
O11 O 0.750 0.000 0.000 1
O12 O 0.753 0.500 0.000 1
O13 O 0.250 0.000 0.500 1
O14 O 0.247 0.500 0.500 1
O15 O 0.750 0.000 0.500 1
O16 O 0.753 0.500 0.500 1
O17 O 0.997 0.250 0.997 1
O18 O 0.997 0.750 0.003 1
O19 O 0.503 0.247 0.998 1
O20 O 0.503 0.753 0.002 1
O21 O 0.997 0.250 0.503 1
O22 O 0.997 0.750 0.497 1
O23 O 0.503 0.247 0.501 1
O24 O 0.503 0.753 0.498 1